The following is a DFT calculation (r²SCAN) of AlB2 after structural relaxation.

Lattice parameters (Å, degrees): 2.991 2.991 3.263 90.00 90.00 120.00
Fractional coordinates of all 3 atoms:
1 Al 0.000 0.000 0.000
2 B 0.667 0.333 0.500
3 B 0.333 0.667 0.500

Crystal system = hexagonal
Energy relative to the elements = -50.4 meV/atom
E_tot = -7.19 eV/atom
Space group = P6/mmm, No. 191
Mass density = 3.192 Mg/m³
Total magnetization = 0.0 μB per cell